This record from Materials Project describes an optimized crystal structure of CaSe2O5. The functional is r²SCAN.

```
CaSe2O5
1.0
6.502 0.000 0.000
0.000 14.574 0.000
0.000 0.000 10.187
Ca Se O
8 16 40
Direct
0.058 0.092 0.141
0.058 0.408 0.641
0.442 0.592 0.141
0.442 0.908 0.641
0.558 0.092 0.359
0.558 0.408 0.859
0.942 0.592 0.359
0.942 0.908 0.859
0.109 0.230 0.865
0.109 0.270 0.365
0.145 0.086 0.622
0.145 0.414 0.122
0.355 0.586 0.622
0.355 0.914 0.122
0.391 0.730 0.865
0.391 0.770 0.365
0.609 0.230 0.635
0.609 0.270 0.135
0.645 0.086 0.878
0.645 0.414 0.378
0.855 0.586 0.878
0.855 0.914 0.378
0.891 0.730 0.635
0.891 0.770 0.135
0.094 0.521 0.176
0.094 0.979 0.676
0.123 0.565 0.557
0.123 0.935 0.057
0.212 0.208 0.011
0.212 0.292 0.511
0.242 0.135 0.774
0.242 0.365 0.274
0.247 0.180 0.309
0.247 0.320 0.809
0.253 0.680 0.309
0.253 0.820 0.809
0.258 0.635 0.774
0.258 0.865 0.274
0.288 0.708 0.011
0.288 0.792 0.511
0.377 0.065 0.557
0.377 0.435 0.057
0.406 0.021 0.176
0.406 0.479 0.676
0.594 0.521 0.324
0.594 0.979 0.824
0.623 0.565 0.943
0.623 0.935 0.443
0.712 0.208 0.489
0.712 0.292 0.989
0.742 0.135 0.726
0.742 0.365 0.226
0.747 0.180 0.191
0.747 0.320 0.691
0.753 0.680 0.191
0.753 0.820 0.691
0.758 0.635 0.726
0.758 0.865 0.226
0.788 0.708 0.489
0.788 0.792 0.989
0.877 0.065 0.943
0.877 0.435 0.443
0.906 0.021 0.324
0.906 0.479 0.824
```

Results
Magnetic moment ... 0.00 μB per formula unit
Formation enthalpy at 0 K ... -152.6 kJ per mole of atoms
E_tot ... -9.77 eV per atom